Record 1
Here is a relaxed Li9Mn2Co5O16 crystal from the Materials Project database. Energies are from GGA+U.

Properties
Magnetization   8.00 μB/f.u.
Relative energy among the computed polymorphs   121 kJ/mol of formula units
Density   4.2 g/cm³
Formation energy from the elements   -1.825 eV per atom
Crystal system   triclinic

Cell lengths 4.9929, 5.9513, 9.8265 Å; angles 99.17, 93.58, 90.55 degrees
Closest atoms and distances in Å follow each position.
Element x y z (fractional)
Li 0.8817 0.8091 0.2505  4 O 2.00-2.18
Li 0.1245 0.6936 0.7445  6 O 2.10-2.19
Li 0.3782 0.5647 0.2556  6 O 2.06-2.23
Li 0.8794 0.3089 0.2524  6 O 2.08-2.16
Li 0.1246 0.1845 0.7422  6 O 2.10-2.21
Li 0.3773 0.0615 0.2553  6 O 2.13-2.27
Li 0.6187 0.9368 0.7508  5 O 2.01-2.24
Li 0.6182 0.4411 0.7486  6 O 2.06-2.19
Li 0.2502 0.8760 0.4990  6 O 2.10-2.13
Mn 0.9999 0.9997 0.9989  4 O 1.95-1.99
Mn 0.7508 0.6254 0.5003  6 O 1.92-1.99
Co 0.4963 0.7495 0.0049  6 O 1.91-2.11
Co 0.0000 0.4990 0.9989  6 O 1.92-2.10
Co 0.2495 0.3800 0.4999  6 O 1.90-1.94
Co 0.5035 0.2506 0.9971  6 O 1.91-2.10
Co 0.7488 0.1138 0.5006  6 O 1.95-2.14
O 0.6964 0.0303 0.1165  1 Mn 1.95, 2 Co 2.06-2.10, 3 Li 2.12-2.18
O 0.9079 0.8914 0.6158  1 Mn 1.92, 1 Co 2.01, 3 Li 2.01-2.12
O 0.2083 0.7686 0.1246  2 Co 1.91-2.09, 3 Li 2.06-2.13
O 0.7015 0.5253 0.1156  3 Co 1.93-2.09, 1 Li 2.13
O 0.9416 0.4162 0.6111  2 Co 1.94-2.14, 1 Mn 1.99, 2 Li 2.10-2.16
O 0.1930 0.2681 0.1114  2 Co 1.96-2.10, 1 Mn 1.99, 2 Li 2.14-2.18
O 0.4322 0.1803 0.6055  2 Co 1.90-1.95, 3 Li 2.09-2.11
O 0.4386 0.6334 0.6088  1 Co 1.91, 1 Mn 1.94, 3 Li 2.09-2.13
O 0.0629 0.5763 0.3922  1 Co 1.91, 1 Mn 1.94, 3 Li 2.09-2.13
O 0.2996 0.4743 0.8847  3 Co 1.92-2.09, 1 Li 2.13
O 0.5582 0.3567 0.3891  2 Co 1.94-2.14, 1 Mn 1.99, 2 Li 2.11-2.15
O 0.0645 0.1246 0.3931  2 Co 1.90-1.96, 1 Li 2.08
O 0.3044 0.9692 0.8821  1 Mn 1.95, 2 Co 2.07-2.11, 3 Li 2.08-2.18
O 0.5944 0.8289 0.3854  1 Mn 1.92, 1 Co 2.00, 3 Li 2.00-2.10
O 0.8054 0.7302 0.8885  2 Co 1.97-2.09, 1 Mn 1.99, 3 Li 2.15-2.19
O 0.7898 0.2320 0.8762  2 Co 1.91-2.07, 2 Li 2.06-2.12



Record 2
Here is a relaxed MnCuP2O8 crystal from the Materials Project database. Energies are from GGA+U.

Properties
Magnetization   4.00 μB/f.u.
Relative energy among the computed polymorphs   0 kJ/mol of formula units
Density   3.3 g/cm³
Formation energy from the elements   -2.158 eV per atom
Crystal system   monoclinic

Cell lengths 5.1602, 10.1039, 6.0486 Å; angles 89.99, 90.00, 94.21 degrees
Closest atoms and distances in Å follow each position.
Element x y z (fractional)
Mn 0.5895 0.8028 0.2501  4 O 1.91-1.94
Mn 0.4107 0.1973 0.7499  4 O 1.91-1.94
Cu 0.8499 0.3133 0.2499  4 O 1.84-1.89
Cu 0.1500 0.6865 0.7500  4 O 1.84-1.89
P 0.4139 0.1035 0.2500  4 O 1.54-1.56
P 0.5861 0.8965 0.7500  4 O 1.54-1.56
P 0.9446 0.3872 0.7499  4 O 1.53-1.57
P 0.0553 0.6127 0.2501  4 O 1.53-1.57
O 0.6205 0.0497 0.7497  1 P 1.54
O 0.3791 0.9504 0.2503  1 P 1.54
O 0.7129 0.1393 0.2500  1 P 1.56
O 0.2872 0.8606 0.7500  1 P 1.56
O 0.2320 0.3593 0.7499  1 P 1.53
O 0.7681 0.6408 0.2501  1 P 1.53
O 0.0813 0.4611 0.2502  1 P 1.55
O 0.9184 0.5388 0.7499  1 P 1.55
O 0.2805 0.1619 0.0467  1 P 1.55
O 0.2804 0.1620 0.4531  1 P 1.55
O 0.7197 0.8382 0.5468  1 P 1.55
O 0.7196 0.8383 0.9535  1 P 1.55
O 0.7796 0.3209 0.9441  1 P 1.57
O 0.7793 0.3210 0.5558  1 P 1.57
O 0.2205 0.6789 0.0559  1 P 1.57
O 0.2208 0.6789 0.4442  1 P 1.57



Record 3
Here is a relaxed Li9Mn2Co5O16 crystal from the Materials Project database. Energies are from GGA+U.

Properties
Magnetization   12.00 μB/f.u.
Relative energy among the computed polymorphs   68 kJ/mol of formula units
Density   4.2 g/cm³
Formation energy from the elements   -1.842 eV per atom
Crystal system   triclinic

Cell lengths 5.9462, 6.4512, 7.7352 Å; angles 89.45, 98.79, 103.51 degrees
Closest atoms and distances in Å follow each position.
Element x y z (fractional)
Li 0.3767 0.3686 0.1221  6 O 2.08-2.21
Li 0.1249 0.1236 0.3757  6 O 2.05-2.18
Li 0.7386 0.7572 0.2479  5 O 2.03-2.25
Li 0.5000 0.5000 0.5000  4 O 2.05-2.19
Li 0.8751 0.8764 0.6243  6 O 2.05-2.18
Li 0.2614 0.2428 0.7521  5 O 2.03-2.25
Li 0.0000 0.0000 0.0000  6 O 2.10-2.26
Li 0.6233 0.6314 0.8779  6 O 2.08-2.21
Li 0.5000 0.0000 0.0000  6 O 2.04-2.17
Mn 0.8667 0.3732 0.1209  6 O 1.90-2.00
Mn 0.1333 0.6268 0.8791  6 O 1.90-2.00
Co 0.6100 0.1193 0.3668  6 O 1.92-2.09
Co 0.3900 0.8807 0.6332  6 O 1.92-2.09
Co 0.0000 0.5000 0.5000  4 O 1.90-1.96
Co 0.7465 0.2492 0.7496  4 O 1.88-1.96
Co 0.2535 0.7508 0.2504  4 O 1.88-1.96
O 0.0614 0.3270 0.9504  2 Mn 1.95-1.97, 2 Li 2.09-2.10
O 0.8182 0.0853 0.1903  1 Mn 1.90, 1 Co 2.02, 3 Li 2.10-2.12
O 0.4005 0.6864 0.0591  1 Mn 1.91, 1 Co 1.92, 2 Li 2.04-2.08
O 0.1536 0.4515 0.3017  2 Co 1.94-1.96, 1 Mn 2.00, 1 Li 2.16
O 0.5675 0.8167 0.4422  3 Co 2.00-2.16, 3 Li 2.03-2.09
O 0.9093 0.2081 0.5544  3 Co 1.90-2.09
O 0.6759 0.9556 0.7957  2 Co 1.88-1.92, 2 Li 2.05-2.08
O 0.3090 0.5652 0.7055  1 Mn 1.92, 2 Li 2.07-2.08, 1 Co 2.07
O 0.6910 0.4348 0.2945  1 Mn 1.92, 2 Li 2.07-2.08, 1 Co 2.07
O 0.4325 0.1833 0.5578  3 Co 2.00-2.16, 3 Li 2.03-2.09
O 0.0907 0.7919 0.4456  3 Co 1.90-2.09
O 0.8464 0.5485 0.6983  2 Co 1.94-1.96, 1 Mn 2.00, 1 Li 2.16
O 0.1818 0.9147 0.8097  1 Mn 1.90, 1 Co 2.02, 3 Li 2.10-2.12
O 0.5995 0.3136 0.9409  1 Mn 1.91, 1 Co 1.92, 2 Li 2.04-2.08
O 0.3241 0.0444 0.2043  2 Co 1.88-1.92, 2 Li 2.05-2.08
O 0.9386 0.6730 0.0496  2 Mn 1.95-1.97, 2 Li 2.09-2.10



Record 4
Here is a relaxed Li2Fe2Si3O9 crystal from the Materials Project database. Energies are from GGA+U.

Properties
Magnetization   8.00 μB/f.u.
Relative energy among the computed polymorphs   13 kJ/mol of formula units
Density   3.2 g/cm³
Formation energy from the elements   -2.643 eV per atom
Crystal system   trigonal

Cell lengths 10.1309, 10.1309, 12.3276 Å; angles 90.00, 90.00, 120.00 degrees
Closest atoms and distances in Å follow each position.
Element x y z (fractional)
Li 0.1394 0.9695 0.1861  3 O 2.02-2.15
Li 0.2959 0.8224 0.0143  5 O 2.19-2.41
Li 0.1776 0.4735 0.6810  5 O 2.19-2.41
Li 0.0305 0.1699 0.8528  3 O 2.02-2.15
Li 0.5265 0.7041 0.3477  5 O 2.19-2.41
Li 0.1739 0.0452 0.6876  3 O 2.02-2.20
Li 0.3432 0.3285 0.7616  3 O 2.07-2.25
Li 0.8301 0.8606 0.5194  3 O 2.02-2.15
Li 0.8713 0.8261 0.0209  3 O 2.02-2.20
Li 0.6715 0.0147 0.4283  3 O 2.07-2.25
Li 0.9853 0.6568 0.0949  3 O 2.07-2.25
Li 0.9548 0.1287 0.3542  3 O 2.02-2.20
Fe 0.3416 0.8366 0.4962  4 O 2.02-2.21
Fe 0.1634 0.5049 0.1629  4 O 2.02-2.21
Fe 0.4951 0.6584 0.8295  4 O 2.02-2.21
Fe 0.3373 0.3255 0.2390  5 O 2.18-2.26
Fe 0.3670 0.3315 0.0010  6 O 2.08-2.22
Fe 0.4925 0.1593 0.8391  5 O 2.08-2.28
Fe 0.6668 0.5075 0.1724  5 O 2.08-2.28
Fe 0.9883 0.6627 0.5724  5 O 2.18-2.26
Fe 0.9645 0.6330 0.3344  6 O 2.08-2.22
Fe 0.6685 0.0355 0.6677  6 O 2.08-2.22
Fe 0.6745 0.0117 0.9057  5 O 2.18-2.26
Fe 0.8407 0.3332 0.5057  5 O 2.08-2.28
Si 0.1346 0.9527 0.9164  4 O 1.61-1.67
Si 0.2880 0.8129 0.7587  4 O 1.62-1.66
Si 0.1780 0.5101 0.9024  4 O 1.61-1.67
Si 0.3321 0.8220 0.2358  4 O 1.61-1.67
Si 0.0473 0.1819 0.5831  4 O 1.61-1.67
Si 0.1871 0.4751 0.4254  4 O 1.62-1.66
Si 0.1760 0.0104 0.4360  4 O 1.60-1.68
Si 0.4899 0.6679 0.5691  4 O 1.61-1.67
Si 0.5249 0.7120 0.0920  4 O 1.62-1.66
Si 0.6185 0.4958 0.4468  4 O 1.63-1.67
Si 0.4735 0.1916 0.5720  4 O 1.61-1.68
Si 0.8181 0.8654 0.2497  4 O 1.61-1.67
Si 0.8344 0.8240 0.7693  4 O 1.60-1.68
Si 0.7181 0.5265 0.9053  4 O 1.61-1.68
Si 0.5042 0.1227 0.1135  4 O 1.63-1.67
Si 0.8773 0.3815 0.7801  4 O 1.63-1.67
Si 0.8084 0.2819 0.2386  4 O 1.61-1.68
Si 0.9896 0.1656 0.1027  4 O 1.60-1.68
O 0.0863 0.8232 0.4376  1 Si 1.64
O 0.0958 0.8782 0.0357  1 Si 1.61
O 0.1843 0.8540 0.8376  2 Si 1.63-1.64
O 0.1500 0.7000 0.2312  1 Si 1.63
O 0.0601 0.5257 0.4415  1 Si 1.62
O 0.0226 0.3771 0.8413  2 Si 1.65-1.67
O 0.2197 0.7759 0.6363  1 Si 1.62
O 0.1457 0.5742 0.0125  1 Si 1.61
O 0.3545 0.9774 0.1747  2 Si 1.65-1.67
O 0.2584 0.6484 0.8098  2 Si 1.66-1.67
O 0.1460 0.3304 0.5043  2 Si 1.63-1.64
O 0.4286 0.8543 0.3458  1 Si 1.61
O 0.1218 0.2177 0.7024  1 Si 1.61
O 0.2241 0.4439 0.3030  1 Si 1.62
O 0.4657 0.9399 0.7748  1 Si 1.62
O 0.3901 0.7416 0.1431  2 Si 1.66-1.67
O 0.3000 0.4500 0.8978  1 Si 1.63
O 0.1768 0.2631 0.1043  1 Si 1.64
O 0.0802 0.0509 0.5275  2 Si 1.67
O 0.3516 0.6099 0.4765  2 Si 1.66-1.67
O 0.2013 0.1014 0.3245  1 Si 1.60
O 0.4258 0.5714 0.6792  1 Si 1.61
O 0.5500 0.8500 0.5645  1 Si 1.63
O 0.5561 0.7803 0.9696  1 Si 1.62
O 0.2569 0.1316 0.9019  1 Si 1.61
O 0.4743 0.5343 0.1082  1 Si 1.62
O 0.6696 0.8157 0.1710  2 Si 1.63-1.64
O 0.6229 0.6455 0.5080  2 Si 1.65-1.67
O 0.3408 0.0497 0.4960  2 Si 1.68
O 0.7369 0.9137 0.7710  1 Si 1.64
O 0.5517 0.4884 0.3238  1 Si 1.65
O 0.4026 0.1787 0.6923  1 Si 1.62
O 0.7823 0.9042 0.3691  1 Si 1.61
O 0.4947 0.3463 0.5142  2 Si 1.63
O 0.4780 0.2682 0.1267  1 Si 1.63
O 0.5508 0.3773 0.8963  1 Si 1.61
O 0.7089 0.6592 0.8294  2 Si 1.68
O 0.5116 0.0633 0.9905  1 Si 1.65
O 0.7761 0.5974 0.0257  1 Si 1.62
O 0.9001 0.7987 0.6578  1 Si 1.60
O 0.8748 0.7431 0.2352  1 Si 1.61
O 0.6227 0.1735 0.5629  1 Si 1.61
O 0.7902 0.5220 0.4600  1 Si 1.63
O 0.9706 0.9198 0.8608  2 Si 1.67
O 0.6537 0.1485 0.1808  2 Si 1.63
O 0.8515 0.5053 0.8475  2 Si 1.63
O 0.8265 0.4492 0.2296  1 Si 1.61
O 0.7318 0.2098 0.7934  1 Si 1.63
O 0.8213 0.2239 0.3590  1 Si 1.62
O 0.9367 0.4483 0.6571  1 Si 1.65
O 0.8684 0.1252 0.5685  1 Si 1.61
O 0.9503 0.2911 0.1627  2 Si 1.68
O 0.8986 0.0999 0.9911  1 Si 1.60
O 0.9491 0.0294 0.1941  2 Si 1.67



Record 5
Here is a relaxed Li9Mn2Co5O16 crystal from the Materials Project database. Energies are from GGA+U.

Properties
Magnetization   14.00 μB/f.u.
Relative energy among the computed polymorphs   147 kJ/mol of formula units
Density   4.2 g/cm³
Formation energy from the elements   -1.817 eV per atom
Crystal system   triclinic

Cell lengths 2.9120, 5.1149, 19.2952 Å; angles 94.31, 92.62, 90.76 degrees
Closest atoms and distances in Å follow each position.
Element x y z (fractional)
Li 0.5000 0.5000 0.5000  6 O 2.13-2.27
Li 0.9959 0.6307 0.3787  5 O 1.98-2.19
Li 0.5014 0.7443 0.2491  6 O 2.09-2.31
Li 0.9999 0.8761 0.1251  6 O 2.09-2.17
Li 0.5000 0.0000 0.0000  6 O 2.11-2.17
Li 0.0001 0.1239 0.8749  6 O 2.09-2.17
Li 0.4986 0.2557 0.7509  6 O 2.09-2.31
Li 0.0041 0.3693 0.6213  5 O 1.98-2.19
Li 0.0000 0.0000 0.5000  6 O 2.06-2.18
Mn 0.5052 0.8810 0.6217  5 O 1.82-2.01
Mn 0.4948 0.1190 0.3783  5 O 1.82-2.01
Co 0.9889 0.2482 0.2504  5 O 1.89-2.11
Co 0.5024 0.3695 0.1259  6 O 1.93-2.09
Co 0.0000 0.5000 0.0000  6 O 1.94-2.09
Co 0.4976 0.6305 0.8741  6 O 1.93-2.09
Co 0.0111 0.7518 0.7496  5 O 1.89-2.11
O 0.9895 0.7068 0.5698  2 Mn 1.93-1.95, 3 Li 2.06-2.13
O 0.5063 0.8343 0.4298  1 Mn 1.82, 2 Li 1.98-2.03
O 0.9753 0.9687 0.3160  1 Co 1.98, 2 Mn 2.00-2.01, 2 Li 2.11-2.18
O 0.5250 0.0754 0.1909  2 Co 1.90-2.03, 1 Li 2.10
O 0.0167 0.2030 0.0661  3 Co 1.93-2.08, 2 Li 2.09-2.13
O 0.5149 0.3298 0.9404  3 Co 1.94-2.09, 2 Li 2.11-2.13
O 0.0090 0.4612 0.8134  3 Co 1.95-2.09, 3 Li 2.09-2.17
O 0.5416 0.5906 0.6893  2 Co 1.89-2.11, 1 Mn 2.05
O 0.0105 0.2932 0.4302  2 Mn 1.93-1.95, 3 Li 2.06-2.13
O 0.4584 0.4094 0.3107  2 Co 1.89-2.11, 1 Mn 2.05
O 0.9910 0.5388 0.1866  3 Co 1.95-2.09, 3 Li 2.09-2.17
O 0.4851 0.6702 0.0596  3 Co 1.94-2.09, 2 Li 2.11-2.13
O 0.9833 0.7970 0.9339  3 Co 1.93-2.08, 2 Li 2.09-2.13
O 0.4750 0.9246 0.8091  2 Co 1.90-2.03, 1 Li 2.10
O 0.0247 0.0313 0.6840  1 Co 1.98, 2 Mn 2.00-2.01, 2 Li 2.11-2.18
O 0.4937 0.1657 0.5702  1 Mn 1.82, 2 Li 1.98-2.03



What did the first record say?
Here is a relaxed Li9Mn2Co5O16 crystal from the Materials Project database. Energies are from GGA+U.

Properties
Magnetization   8.00 μB/f.u.
Relative energy among the computed polymorphs   121 kJ/mol of formula units
Density   4.2 g/cm³
Formation energy from the elements   -1.825 eV per atom
Crystal system   triclinic

Cell lengths 4.9929, 5.9513, 9.8265 Å; angles 99.17, 93.58, 90.55 degrees
Closest atoms and distances in Å follow each position.
Element x y z (fractional)
Li 0.8817 0.8091 0.2505  4 O 2.00-2.18
Li 0.1245 0.6936 0.7445  6 O 2.10-2.19
Li 0.3782 0.5647 0.2556  6 O 2.06-2.23
Li 0.8794 0.3089 0.2524  6 O 2.08-2.16
Li 0.1246 0.1845 0.7422  6 O 2.10-2.21
Li 0.3773 0.0615 0.2553  6 O 2.13-2.27
Li 0.6187 0.9368 0.7508  5 O 2.01-2.24
Li 0.6182 0.4411 0.7486  6 O 2.06-2.19
Li 0.2502 0.8760 0.4990  6 O 2.10-2.13
Mn 0.9999 0.9997 0.9989  4 O 1.95-1.99
Mn 0.7508 0.6254 0.5003  6 O 1.92-1.99
Co 0.4963 0.7495 0.0049  6 O 1.91-2.11
Co 0.0000 0.4990 0.9989  6 O 1.92-2.10
Co 0.2495 0.3800 0.4999  6 O 1.90-1.94
Co 0.5035 0.2506 0.9971  6 O 1.91-2.10
Co 0.7488 0.1138 0.5006  6 O 1.95-2.14
O 0.6964 0.0303 0.1165  1 Mn 1.95, 2 Co 2.06-2.10, 3 Li 2.12-2.18
O 0.9079 0.8914 0.6158  1 Mn 1.92, 1 Co 2.01, 3 Li 2.01-2.12
O 0.2083 0.7686 0.1246  2 Co 1.91-2.09, 3 Li 2.06-2.13
O 0.7015 0.5253 0.1156  3 Co 1.93-2.09, 1 Li 2.13
O 0.9416 0.4162 0.6111  2 Co 1.94-2.14, 1 Mn 1.99, 2 Li 2.10-2.16
O 0.1930 0.2681 0.1114  2 Co 1.96-2.10, 1 Mn 1.99, 2 Li 2.14-2.18
O 0.4322 0.1803 0.6055  2 Co 1.90-1.95, 3 Li 2.09-2.11
O 0.4386 0.6334 0.6088  1 Co 1.91, 1 Mn 1.94, 3 Li 2.09-2.13
O 0.0629 0.5763 0.3922  1 Co 1.91, 1 Mn 1.94, 3 Li 2.09-2.13
O 0.2996 0.4743 0.8847  3 Co 1.92-2.09, 1 Li 2.13
O 0.5582 0.3567 0.3891  2 Co 1.94-2.14, 1 Mn 1.99, 2 Li 2.11-2.15
O 0.0645 0.1246 0.3931  2 Co 1.90-1.96, 1 Li 2.08
O 0.3044 0.9692 0.8821  1 Mn 1.95, 2 Co 2.07-2.11, 3 Li 2.08-2.18
O 0.5944 0.8289 0.3854  1 Mn 1.92, 1 Co 2.00, 3 Li 2.00-2.10
O 0.8054 0.7302 0.8885  2 Co 1.97-2.09, 1 Mn 1.99, 3 Li 2.15-2.19
O 0.7898 0.2320 0.8762  2 Co 1.91-2.07, 2 Li 2.06-2.12



> Look up the relative energy among the computed polymorphs of the fourth one.

13 kJ/mol of formula units



> Which formula does entry 3 have?

Li9Mn2Co5O16



> Among the records above, which one has the lowest formation energy from the elements?

Li2Fe2Si3O9